SrMn3P3O12 | GGA+U | optimized geometry Values from VASP.

Cell and atoms, written as Quantum ESPRESSO input:
```
&SYSTEM
  ibrav = 0, nat = 38, ntyp = 4
/
ATOMIC_SPECIES
O 16.00 O.upf
Sr 87.62 Sr.upf
P 30.97 P.upf
Mn 54.94 Mn.upf
CELL_PARAMETERS angstrom
-3.354 5.220 7.034
3.354 -5.220 7.034
3.354 5.220 -7.034
ATOMIC_POSITIONS crystal
O 0.360 0.198 0.559
O 0.861 0.699 0.559
O 0.339 0.207 0.278
O 0.839 0.561 0.132
O 0.867 0.010 0.378
O 0.339 0.800 0.461
O 0.161 0.439 0.868
O 0.571 0.439 0.278
O 0.161 0.622 0.461
O 0.860 0.301 0.162
O 0.139 0.301 0.441
O 0.929 0.207 0.868
O 0.367 0.990 0.857
O 0.133 0.990 0.622
O 0.140 0.699 0.838
O 0.839 0.378 0.539
O 0.640 0.802 0.441
O 0.661 0.793 0.722
O 0.071 0.793 0.132
O 0.661 0.200 0.539
O 0.361 0.802 0.162
O 0.633 0.010 0.143
O 0.639 0.198 0.838
O 0.429 0.561 0.722
Sr 0.750 0.643 0.893
Sr 0.250 0.357 0.107
P 0.324 0.324 0.500
P 0.250 0.843 0.593
P 0.676 0.676 0.500
P 0.750 0.157 0.407
P 0.824 0.324 0.000
P 0.176 0.676 0.000
Mn 0.118 0.118 0.500
Mn 0.382 0.882 0.000
Mn 0.882 0.882 0.500
Mn 0.618 0.118 0.000
Mn 0.500 0.000 0.500
Mn 0.000 0.500 0.500
```

Properties
Formation energy ... -2.7214 eV/atom